[1]
VASP calculation (PBE-GGA) on an optimized crystal structure of CeSe2.

The structure in extended XYZ format:
```
12
Lattice="-8.618 6.742 4.160 8.618 -6.742 4.160 8.618 6.742 -4.160" Properties=species:S:1:pos:R:3 pbc="T T T"
Ce 1.761 1.941 0.000
Ce 6.857 1.941 0.000
Ce 1.761 4.801 4.160
Ce 6.857 4.801 4.160
Se 4.309 1.030 -0.343
Se 7.243 4.159 -1.537
Se 9.992 -2.584 2.623
Se 1.375 2.584 2.623
Se 7.243 2.584 2.623
Se 4.309 5.712 3.817
Se 0.000 6.742 3.390
Se 0.000 0.000 7.551
```

Output
The value obtained for the size of the total moment is 0.000 μB/f.u. Its formation enthalpy at 0 K is -1.41 eV/atom. Its total energy is -64.79 eV for the cell shown. As for the space group: Ima2.

=====

[2]
VASP calculation (PBE-GGA) on an optimized crystal structure of Bi2Ir2O7.

The structure in extended XYZ format:
```
22
Lattice="0.000 5.217 5.217 5.217 0.000 5.217 5.217 5.217 0.000" Properties=species:S:1:pos:R:3 pbc="T T T"
Bi 0.000 0.000 0.000
Bi 2.608 2.608 0.000
Bi 2.608 0.000 2.608
Bi 0.000 2.608 2.608
Ir 5.217 2.608 2.608
Ir 2.608 5.217 2.608
Ir 2.608 2.608 5.217
Ir 5.217 5.217 5.217
O 1.304 1.304 1.304
O 3.912 3.912 1.760
O 3.912 1.760 3.912
O 6.064 3.912 3.912
O 6.521 6.521 4.369
O 6.521 4.369 6.521
O 8.673 6.521 6.521
O 1.760 3.912 3.912
O 3.912 6.064 3.912
O 3.912 3.912 6.064
O 4.369 6.521 6.521
O 6.521 8.673 6.521
O 6.521 6.521 8.673
O 9.129 9.129 9.129
```

Output
Its formation enthalpy at 0 K is -1.47 eV/atom. Its total energy is -142.88 eV for the cell shown. As for the space group: Fd-3m.

=====

[3]
VASP calculation (PBE-GGA) on an optimized crystal structure of MgC2O6.

The structure in extended XYZ format:
```
36
Lattice="7.858 0.000 0.000 0.000 7.878 0.000 -1.437 0.000 8.940" Properties=species:S:1:pos:R:3 pbc="T T T"
Mg 0.000 0.000 0.000
Mg -0.718 3.939 4.470
Mg 3.211 0.000 4.470
Mg 3.929 3.939 0.000
C 0.859 1.399 2.870
C 0.141 2.540 7.340
C 1.734 5.791 4.337
C 1.016 6.025 8.807
C 5.406 1.853 0.133
C 4.687 2.086 4.603
C 6.281 5.338 1.600
C 5.562 6.479 6.070
O 0.329 0.868 1.843
O -0.389 3.071 6.313
O -0.547 1.746 8.063
O 0.171 2.193 3.593
O 1.173 4.672 4.504
O 1.892 7.144 0.034
O 2.136 4.963 0.533
O 1.417 6.853 5.003
O 2.076 1.139 3.180
O 1.357 2.800 7.650
O 1.977 5.819 7.975
O 2.696 5.997 3.505
O 3.726 1.881 5.434
O 4.444 2.058 0.964
O 5.064 5.077 1.289
O 4.346 6.739 5.759
O 5.004 1.025 3.936
O 4.286 2.914 8.406
O 4.530 0.733 8.906
O 5.248 3.206 4.436
O 6.250 5.685 5.346
O 6.969 6.132 0.877
O 6.811 4.807 2.627
O 6.092 7.009 7.096
```

Output
For the distance to the lowest polymorph of the same formula, the calculation gives 0.0 kJ/mol of atoms. The value obtained for the size of the total moment is 2.001 μB/f.u. Its formation enthalpy at 0 K is -1.79 eV/atom. Its total energy is -247.08 eV for the cell shown. As for the space group: P2_1/c.

=====

[4]
VASP calculation (PBE-GGA) on an optimized crystal structure of Na4TiAlSi2PO12.

The structure in extended XYZ format:
```
126
Lattice="-8.101 2.912 -2.112 0.909 -7.581 4.501 -0.951 11.071 18.770" Properties=species:S:1:pos:R:3 pbc="T T T"
Na -5.395 4.615 3.363
Na -2.889 1.022 5.531
Na -7.723 0.895 5.414
Na -5.252 5.333 15.543
Na -8.472 8.461 13.612
Na -3.718 9.339 13.310
Na -2.709 4.807 11.824
Na -0.203 1.215 13.993
Na -5.036 1.087 13.875
Na -1.614 -5.546 5.234
Na -4.834 -2.417 3.303
Na -0.080 -1.539 3.001
Na -8.123 7.912 18.173
Na -6.527 11.900 15.840
Na -3.260 8.861 17.835
Na -7.938 5.140 7.082
Na -3.057 5.357 7.263
Na -5.494 1.566 9.350
Na -7.653 0.879 11.733
Na -0.985 11.053 18.745
Na -5.876 8.653 15.693
Na -5.448 3.087 6.324
Na -2.238 -2.225 5.384
Na -2.761 3.279 14.785
Ti -8.703 10.080 10.061
Ti -8.237 4.539 0.679
Ti -6.017 10.272 18.523
Ti -5.550 4.731 9.141
Ti -2.379 -0.606 8.214
Ti -2.864 4.923 17.602
Al -7.444 -0.743 8.988
Al -0.864 9.373 16.029
Al -5.667 7.030 12.948
Al -5.327 1.407 3.608
Al -2.030 -3.848 2.639
Al -2.641 1.599 12.069
Si -5.349 -0.509 6.395
Si -8.039 3.503 3.919
Si -2.828 6.972 14.784
Si -6.480 10.359 12.628
Si -3.572 7.265 10.355
Si -5.352 3.695 12.380
Si -7.291 -0.994 2.363
Si -2.842 -0.519 2.319
Si -0.886 7.457 18.816
Si -2.666 3.887 20.841
Si -4.605 -0.801 10.824
Si -0.156 -0.327 10.780
P -2.583 3.600 4.120
P -8.142 5.835 15.194
P -7.998 6.704 10.469
P -5.414 2.538 0.384
P -5.311 6.896 18.930
P -2.727 2.730 8.845
O -1.925 3.738 5.506
O -6.345 -0.170 7.630
O -7.983 5.008 4.524
O -2.275 8.316 15.505
O -7.859 5.729 16.704
O -7.510 11.159 13.594
O -6.256 2.664 15.616
O -1.810 6.611 13.518
O -0.176 1.498 16.670
O -5.903 -1.890 5.651
O -0.288 0.694 4.407
O -0.701 -4.687 7.617
O -7.340 6.842 11.855
O -4.568 7.603 11.590
O -5.297 5.200 12.986
O -6.738 0.350 3.084
O -5.131 2.432 1.894
O -3.873 0.281 3.285
O -3.527 -0.633 0.806
O -6.273 -1.355 1.097
O -5.548 1.113 -0.253
O -4.126 5.883 9.611
O -5.703 3.798 10.756
O -7.025 5.999 9.465
O -4.653 7.035 20.316
O -1.881 7.796 20.051
O -2.610 5.393 21.447
O -4.052 0.543 11.545
O -2.445 2.625 10.355
O -1.186 0.473 11.747
O -0.841 -0.441 9.267
O -3.587 -1.163 9.558
O -2.862 1.305 8.208
O -1.440 6.075 18.072
O -3.017 3.991 19.217
O -4.339 6.191 17.926
O 0.137 -1.799 11.437
O -6.148 -0.490 10.381
O -1.592 3.566 8.214
O -0.870 8.781 17.855
O -1.223 3.162 21.116
O -6.641 6.132 19.119
O -8.287 8.061 9.750
O -2.024 6.870 10.774
O -6.605 2.776 12.948
O -7.248 -2.365 3.282
O -6.788 3.191 0.024
O -1.434 0.289 2.003
O -6.187 8.887 13.285
O -4.371 7.284 14.341
O -7.006 6.671 14.563
O -5.333 0.815 5.434
O -6.596 2.778 4.193
O -3.913 2.835 4.308
O -5.601 8.254 18.211
O -7.439 9.975 17.123
O -4.828 10.549 16.908
O -5.471 5.409 7.242
O -4.101 3.383 8.486
O -6.848 3.394 8.352
O -2.550 -1.991 2.976
O -0.734 -3.595 4.032
O -3.368 -4.207 4.254
O -2.647 1.007 13.895
O -3.910 2.970 12.654
O -1.226 3.028 12.770
O -1.963 -2.625 7.902
O -3.801 -0.903 6.814
O -1.191 -0.329 6.599
O -2.784 5.601 15.703
O -1.415 3.575 16.947
O -4.162 3.586 16.814
```

Output
The value obtained for the size of the total moment is 0.000 μB/f.u. Its formation enthalpy at 0 K is -2.94 eV/atom. Its total energy is -876.02 eV for the cell shown.

=====

[5]
VASP calculation (PBE-GGA) on an optimized crystal structure of Ba12In4S19.

The structure in extended XYZ format:
```
70
Lattice="4.868 2.811 25.458 -4.868 2.811 25.458 0.000 -5.621 25.458" Properties=species:S:1:pos:R:3 pbc="T T T"
Ba -3.070 0.636 23.855
Ba -1.859 -3.478 33.423
Ba -2.939 0.413 30.227
Ba -3.942 -0.130 42.952
Ba -1.973 -2.197 39.761
Ba -2.889 0.611 36.615
Ba 0.984 -2.976 23.855
Ba -1.827 -2.338 46.148
Ba -2.085 -2.341 52.520
Ba 1.111 -2.752 30.227
Ba 0.916 -2.807 36.615
Ba -2.083 3.349 33.423
Ba 2.083 -3.349 42.952
Ba -0.916 2.807 39.761
Ba -1.111 2.752 46.148
Ba 2.085 2.341 23.855
Ba 1.827 2.338 30.227
Ba -0.984 2.976 52.520
Ba 2.889 -0.611 39.761
Ba 1.973 2.197 36.615
Ba 3.942 0.130 33.423
Ba 2.939 -0.413 46.148
Ba 1.859 3.478 42.952
Ba 3.070 -0.636 52.520
In 0.000 0.000 15.029
In 0.000 0.000 21.230
In 0.000 0.000 26.483
In 0.000 0.000 32.758
In 0.000 0.000 43.617
In 0.000 0.000 49.892
In 0.000 0.000 55.145
In 0.000 0.000 61.346
S 0.000 0.000 0.000
S -2.393 0.092 20.720
S 0.000 0.000 3.682
S -2.474 -2.806 36.617
S 0.000 0.000 5.820
S -2.400 0.069 27.008
S 0.000 0.000 9.661
S -3.667 0.740 39.758
S -2.381 0.126 33.442
S 0.000 0.000 17.480
S 1.117 -2.118 20.720
S -1.300 -1.999 42.934
S 0.000 0.000 23.867
S 1.140 -2.113 27.008
S 0.000 0.000 30.280
S -1.260 -2.044 49.367
S 1.081 -2.125 33.442
S 1.193 -3.545 39.758
S -1.276 -2.026 55.656
S 0.000 0.000 38.188
S 1.276 2.026 20.720
S -1.193 3.545 36.617
S -1.081 2.125 42.934
S 1.260 2.044 27.008
S 0.000 0.000 46.095
S -1.140 2.113 49.367
S 0.000 0.000 52.508
S 1.300 1.999 33.442
S -1.117 2.118 55.656
S 0.000 0.000 58.895
S 2.381 -0.126 42.934
S 3.667 -0.740 36.617
S 0.000 0.000 66.714
S 2.400 -0.069 49.367
S 0.000 0.000 70.555
S 2.474 2.806 39.758
S 0.000 0.000 72.694
S 2.393 -0.092 55.656
```

Output
The value obtained for the size of the total moment is 0.003 μB/f.u. Its formation enthalpy at 0 K is -1.88 eV/atom. Its total energy is -337.68 eV for the cell shown. As for the space group: R-3.

=====

Table of corrected total energy (MP2020 scheme) (eV/atom), in record order: -5.71; -6.93; -7.32; -7.35; -5.10